No. 1
## Ba6MgCr2O10 (PBE with a Hubbard U)

Data for a relaxed structure of Ba6MgCr2O10.

Values from the calculation:
crystal system: triclinic
energy of formation: -2615 meV/atom
E: -6.354 eV/atom
size of the total moment: 6.000 μB per formula unit

Geometry as POSCAR:
```
Ba6MgCr2O10
1.0
-1.526 5.992 -4.019
-0.662 -0.064 9.422
6.934 0.090 -4.663
Ba Mg Cr O
6 1 2 10
Direct
0.783 0.568 0.666
0.226 0.441 0.312
0.313 0.029 0.132
0.703 0.017 0.840
0.220 0.052 0.664
0.778 0.933 0.297
0.215 0.666 0.153
0.247 0.495 0.760
0.765 0.517 0.223
0.970 0.980 0.994
0.407 0.828 0.426
0.503 0.264 0.003
0.165 0.614 0.696
0.449 0.780 0.030
0.992 0.737 0.200
0.752 0.728 0.493
0.101 0.354 0.890
0.305 0.291 0.536
0.811 0.357 0.266
```

---

No. 2
## Li3V3P8O29 (PBE with a Hubbard U)

Data for a relaxed structure of Li3V3P8O29.

Values from the calculation:
crystal system: triclinic
energy of formation: -2519 meV/atom
E: -7.048 eV/atom
size of the total moment: 0.001 μB per formula unit

Geometry as POSCAR:
```
Li3V3P8O29
1.0
-0.447 -2.703 -9.359
5.918 -4.749 6.142
-10.498 -8.970 3.107
Li V P O
6 6 16 58
Direct
0.662 0.327 0.610
0.916 0.686 0.446
0.093 0.769 0.052
0.674 0.907 0.055
0.031 0.046 0.990
0.012 0.047 0.514
0.002 0.429 0.752
0.001 0.558 0.249
0.435 0.435 0.248
0.564 0.566 0.753
0.430 0.999 0.749
0.563 0.001 0.258
0.308 0.083 0.160
0.308 0.221 0.656
0.781 0.088 0.657
0.667 0.333 0.869
0.668 0.338 0.369
0.912 0.217 0.158
0.086 0.305 0.342
0.775 0.691 0.157
0.224 0.303 0.842
0.906 0.682 0.659
0.085 0.774 0.840
0.331 0.665 0.631
0.337 0.670 0.132
0.220 0.913 0.345
0.691 0.773 0.343
0.690 0.917 0.841
0.208 0.989 0.433
0.347 0.084 0.666
0.205 0.209 0.928
0.347 0.257 0.167
0.464 0.079 0.176
0.525 0.184 0.821
0.626 0.096 0.665
0.770 0.985 0.933
0.736 0.082 0.166
0.522 0.337 0.324
0.470 0.375 0.666
0.667 0.188 0.327
0.669 0.334 0.973
0.672 0.344 0.475
0.817 0.337 0.823
0.616 0.534 0.171
0.662 0.476 0.822
0.919 0.263 0.667
0.996 0.199 0.251
0.009 0.222 0.430
0.989 0.206 0.071
0.916 0.379 0.174
0.818 0.487 0.328
0.088 0.344 0.832
0.894 0.519 0.671
0.733 0.651 0.668
0.205 0.201 0.750
0.210 0.202 0.572
0.784 0.781 0.427
0.260 0.347 0.330
0.083 0.464 0.325
0.914 0.654 0.161
0.179 0.525 0.677
0.083 0.617 0.826
0.015 0.788 0.930
0.982 0.767 0.571
0.995 0.792 0.749
0.083 0.738 0.335
0.334 0.522 0.177
0.383 0.458 0.830
0.185 0.672 0.175
0.335 0.675 0.028
0.330 0.665 0.527
0.344 0.818 0.677
0.534 0.615 0.327
0.469 0.652 0.679
0.258 0.914 0.830
0.202 0.999 0.253
0.214 0.996 0.076
0.381 0.915 0.329
0.487 0.817 0.175
0.534 0.918 0.825
0.654 0.742 0.830
0.783 0.786 0.074
0.799 0.794 0.251
0.653 0.910 0.334
0.802 0.007 0.575
0.801 0.009 0.754
```

---

No. 3
## Sr3TaCoO7 (PBE with a Hubbard U)

Data for a relaxed structure of Sr3TaCoO7.

Values from the calculation:
crystal system: monoclinic
energy of formation: -2904 meV/atom
E: -7.256 eV/atom
size of the total moment: 0.512 μB per formula unit

Geometry as POSCAR:
```
Sr3TaCoO7
1.0
3.952 0.008 -0.001
0.008 3.953 0.001
-0.003 0.003 21.395
Sr Ta Co O
6 2 2 14
Direct
0.000 0.000 0.482
0.498 0.503 0.980
0.500 0.500 0.191
0.000 0.999 0.694
0.000 0.000 0.317
0.503 0.496 0.820
0.000 0.000 0.096
0.500 0.500 0.599
0.000 0.000 0.897
0.500 0.500 0.394
0.500 0.500 0.301
0.999 0.001 0.803
0.000 0.000 0.193
0.500 0.499 0.695
0.000 0.000 0.006
0.500 0.500 0.509
0.000 0.500 0.403
0.499 0.000 0.903
0.500 0.000 0.403
0.000 0.502 0.903
0.500 0.000 0.101
0.000 0.500 0.603
0.000 0.500 0.101
0.500 0.000 0.603
```

---

No. 4
## V4OF12 (PBE with a Hubbard U)

Data for a relaxed structure of V4OF12.

Values from the calculation:
crystal system: triclinic
energy of formation: -2974 meV/atom
E: -5.987 eV/atom
size of the total moment: 6.000 μB per formula unit

Geometry as POSCAR:
```
V4OF12
1.0
-1.601 7.802 1.411
-1.754 -0.064 3.506
7.123 2.375 3.850
V O F
4 1 12
Direct
0.173 0.930 0.635
0.212 0.900 0.002
0.799 0.078 0.378
0.810 0.105 0.977
0.026 0.000 0.858
0.202 0.405 0.007
0.168 0.433 0.643
0.371 0.818 0.125
0.335 0.865 0.462
0.344 0.844 0.785
0.670 0.157 0.188
0.615 0.133 0.536
0.656 0.197 0.850
0.829 0.564 0.361
0.992 0.997 0.163
0.806 0.606 0.992
0.978 0.010 0.531
```

---

No. 5
## MgMnP2O7 (PBE with a Hubbard U)

Data for a relaxed structure of MgMnP2O7.

Values from the calculation:
crystal system: monoclinic
energy of formation: -2663 meV/atom
E: -7.186 eV/atom
size of the total moment: 5.000 μB per formula unit

Geometry as POSCAR:
```
MgMnP2O7
1.0
5.463 0.151 -0.732
1.334 5.299 0.732
0.041 -0.051 4.695
Mg Mn P O
1 1 2 7
Direct
0.753 0.753 0.500
0.128 0.128 0.000
0.251 0.675 0.598
0.675 0.251 0.402
0.512 0.512 0.500
0.105 0.505 0.747
0.076 0.812 0.312
0.368 0.838 0.781
0.812 0.076 0.688
0.838 0.368 0.219
0.505 0.105 0.253
```

---

No. 6
## V4OF11 (PBE with a Hubbard U)

Data for a relaxed structure of V4OF11.

Values from the calculation:
crystal system: monoclinic
energy of formation: -3130 meV/atom
E: -6.241 eV/atom

Geometry as POSCAR:
```
V4OF11
1.0
2.416 -4.747 -1.238
3.222 -0.560 -4.383
16.011 2.304 7.170
V O F
8 2 22
Direct
0.756 0.623 0.437
0.250 0.128 0.937
0.377 0.244 0.563
0.872 0.750 0.063
0.024 0.883 0.683
0.492 0.371 0.189
0.117 0.976 0.317
0.629 0.508 0.811
0.018 0.743 0.371
0.257 0.982 0.629
0.967 0.235 0.400
0.543 0.214 0.875
0.473 0.527 0.500
0.765 0.033 0.600
0.465 0.738 0.899
0.262 0.535 0.101
0.507 0.782 0.351
0.533 0.008 0.477
0.035 0.517 0.975
0.236 0.714 0.775
0.958 0.042 0.000
0.218 0.493 0.649
0.017 0.290 0.848
0.710 0.983 0.152
0.736 0.219 0.275
0.781 0.264 0.725
0.992 0.467 0.523
0.483 0.965 0.025
0.786 0.457 0.125
0.210 0.272 0.254
0.728 0.790 0.746
0.286 0.764 0.225
```

---

No. 7
## NaSr2MnO6 (PBE with a Hubbard U)

Data for a relaxed structure of NaSr2MnO6.

Values from the calculation:
crystal system: cubic
energy of formation: -2031 meV/atom
E: -5.807 eV/atom
size of the total moment: 0.000 μB per formula unit

Geometry as POSCAR:
```
NaSr2MnO6
1.0
0.334 5.657 -0.951
-3.299 3.618 3.007
2.367 3.442 3.946
Na Sr Mn O
1 2 1 6
Direct
0.500 0.500 0.500
0.250 0.250 0.250
0.750 0.750 0.750
0.000 0.000 0.000
0.769 0.231 0.231
0.231 0.769 0.769
0.769 0.231 0.769
0.231 0.769 0.231
0.769 0.769 0.231
0.231 0.231 0.769
```

---

No. 8
## CoPO4 (PBE with a Hubbard U)

Data for a relaxed structure of CoPO4.

Values from the calculation:
crystal system: monoclinic
energy of formation: -2027 meV/atom
E: -6.681 eV/atom
size of the total moment: 4.000 μB per formula unit

Geometry as POSCAR:
```
CoPO4
1.0
5.294 0.000 0.000
0.000 7.802 0.000
0.000 1.972 8.553
Co P O
4 4 16
Direct
0.871 0.030 0.066
0.311 0.514 0.272
0.129 0.030 0.566
0.689 0.514 0.772
0.673 0.748 0.028
0.810 0.260 0.314
0.327 0.748 0.528
0.190 0.260 0.814
0.164 0.115 0.968
0.412 0.678 0.098
0.725 0.173 0.180
0.860 0.779 0.157
0.075 0.343 0.272
0.618 0.395 0.341
0.836 0.115 0.468
0.217 0.621 0.435
0.350 0.940 0.426
0.588 0.678 0.598
0.275 0.173 0.680
0.140 0.779 0.657
0.925 0.343 0.772
0.382 0.395 0.841
0.783 0.621 0.935
0.650 0.940 0.926
```

---

No. 9
## Cr2O5 (PBE with a Hubbard U)

Data for a relaxed structure of Cr2O5.

Values from the calculation:
crystal system: orthorhombic
energy of formation: -1669 meV/atom
E: -6.900 eV/atom
size of the total moment: 2.000 μB per formula unit

Geometry as POSCAR:
```
Cr2O5
1.0
3.637 0.000 0.000
0.000 4.791 0.000
0.000 0.000 11.037
Cr O
4 10
Direct
0.019 0.883 0.153
0.519 0.117 0.347
0.519 0.117 0.653
0.019 0.883 0.847
0.519 0.993 0.181
0.019 0.007 0.319
0.019 0.007 0.681
0.519 0.993 0.819
0.019 0.553 0.853
0.519 0.447 0.647
0.519 0.447 0.353
0.519 0.992 0.500
0.019 0.008 0.000
0.019 0.553 0.147
```

---

No. 10
## Li3V3P8O29 (PBE with a Hubbard U)

Data for a relaxed structure of Li3V3P8O29.

Values from the calculation:
crystal system: monoclinic
energy of formation: -2528 meV/atom
E: -7.057 eV/atom
size of the total moment: 0.001 μB per formula unit

Geometry as POSCAR:
```
Li3V3P8O29
1.0
0.043 -9.392 2.666
8.117 -5.346 -0.922
4.080 3.647 13.292
Li V P O
6 6 16 58
Direct
0.096 0.228 0.942
0.228 0.096 0.442
0.322 0.767 0.559
0.767 0.322 0.059
0.017 0.921 0.007
0.921 0.017 0.507
0.567 0.000 0.753
0.442 0.998 0.242
0.000 0.567 0.253
0.998 0.442 0.742
0.435 0.563 0.754
0.563 0.435 0.254
0.220 0.696 0.164
0.085 0.700 0.657
0.696 0.220 0.664
0.330 0.331 0.866
0.331 0.330 0.366
0.700 0.085 0.157
0.776 0.917 0.340
0.088 0.230 0.157
0.917 0.776 0.840
0.230 0.088 0.657
0.304 0.916 0.838
0.659 0.672 0.634
0.672 0.659 0.134
0.315 0.779 0.343
0.916 0.304 0.338
0.779 0.315 0.843
0.242 0.782 0.435
0.263 0.656 0.664
0.996 0.784 0.924
0.085 0.656 0.172
0.382 0.540 0.176
0.335 0.479 0.822
0.540 0.382 0.676
0.782 0.242 0.935
0.656 0.263 0.164
0.185 0.480 0.322
0.080 0.542 0.668
0.479 0.335 0.322
0.326 0.329 0.969
0.329 0.326 0.469
0.480 0.185 0.822
0.090 0.384 0.174
0.184 0.331 0.822
0.656 0.085 0.672
0.799 0.003 0.249
0.784 0.996 0.424
0.799 0.009 0.074
0.542 0.080 0.168
0.331 0.184 0.322
0.741 0.911 0.831
0.384 0.090 0.674
0.087 0.261 0.665
0.003 0.799 0.749
0.009 0.799 0.574
0.004 0.199 0.418
0.911 0.741 0.331
0.616 0.921 0.323
0.261 0.087 0.165
0.661 0.815 0.681
0.460 0.921 0.830
0.199 0.004 0.918
0.229 0.009 0.568
0.208 0.992 0.742
0.344 0.920 0.333
0.815 0.661 0.181
0.921 0.616 0.823
0.523 0.811 0.178
0.675 0.656 0.031
0.656 0.675 0.531
0.509 0.672 0.675
0.921 0.460 0.330
0.811 0.523 0.678
0.343 0.741 0.833
0.201 0.796 0.259
0.201 0.794 0.081
0.474 0.620 0.325
0.672 0.509 0.175
0.620 0.474 0.825
0.920 0.344 0.833
0.009 0.229 0.068
0.992 0.208 0.242
0.741 0.343 0.333
0.794 0.201 0.581
0.796 0.201 0.759
```